Entry from the Materials Project: a relaxed structure of Na3LaHfSiP2O12 (PBE).

a = 16.2902 Å, b = 9.4618 Å, c = 9.3875 Å
α = 90.00°, β = 125.41°, γ = 90.00°
Sites, in units of the cell vectors:
O  0.0398  0.6758  0.0600
O  0.2619  0.8840  0.7453
O  0.6526  0.8124  0.8998
O  0.4333  0.4361  0.0952
O  0.9333  0.0639  0.5952
O  0.9509  0.6261  0.4172
O  0.9091  0.8650  0.7535
O  0.9509  0.3739  0.9172
O  0.8573  0.5921  0.7447
O  0.0398  0.3242  0.5600
O  0.5589  0.6434  0.2390
O  0.8520  0.6284  0.0849
O  0.5530  0.4634  0.4252
O  0.1526  0.3124  0.8998
O  0.0589  0.8566  0.7390
O  0.7619  0.6160  0.2453
O  0.7457  0.1970  0.2520
O  0.8520  0.3716  0.5849
O  0.9091  0.1350  0.2535
O  0.4091  0.6350  0.2535
O  0.2457  0.3030  0.7520
O  0.5398  0.8242  0.5600
O  0.3573  0.0921  0.7447
O  0.0589  0.1434  0.2390
O  0.5398  0.1758  0.0600
O  0.1578  0.5513  0.7597
O  0.8573  0.4079  0.2447
O  0.4509  0.8739  0.9172
O  0.6578  0.0513  0.7597
O  0.2457  0.6970  0.2520
O  0.0530  0.9634  0.4252
O  0.1578  0.4487  0.2597
O  0.3573  0.9079  0.2447
O  0.2619  0.1160  0.2453
O  0.1526  0.6876  0.3998
O  0.9333  0.9361  0.0952
O  0.4509  0.1261  0.4172
O  0.5589  0.3566  0.7390
O  0.6526  0.1876  0.3998
O  0.3520  0.1284  0.0849
O  0.4091  0.3650  0.7535
O  0.7619  0.3840  0.7453
O  0.4333  0.5639  0.5952
O  0.7457  0.8030  0.7520
O  0.3520  0.8716  0.5849
O  0.5530  0.5366  0.9252
O  0.0530  0.0366  0.9252
O  0.6578  0.9487  0.2597
Si  0.1503  0.6204  0.2395
Si  0.1503  0.3796  0.7395
Si  0.6503  0.1204  0.2395
Si  0.6503  0.8796  0.7395
Na  0.7558  0.2160  0.0110
Na  0.2558  0.2840  0.5110
Na  0.6842  0.4258  0.3045
Na  0.7558  0.7840  0.5110
Na  0.6842  0.5742  0.8045
Na  0.1842  0.9258  0.3045
Na  0.5091  0.0872  0.7577
Na  0.5091  0.9128  0.2577
Na  0.2558  0.7160  0.0110
Na  0.1842  0.0742  0.8045
Na  0.0091  0.4128  0.2577
Na  0.0091  0.5872  0.7577
La  0.6077  0.7551  0.0682
La  0.1077  0.7449  0.5682
La  0.6077  0.2449  0.5682
La  0.1077  0.2551  0.0682
P  0.9887  0.9564  0.7535
P  0.3540  0.0744  0.2482
P  0.9887  0.0436  0.2535
P  0.3540  0.9256  0.7482
P  0.4887  0.5436  0.2535
P  0.4887  0.4564  0.7535
P  0.8540  0.4256  0.7482
P  0.8540  0.5744  0.2482
Hf  0.3977  0.7410  0.4409
Hf  0.8977  0.7590  0.9409
Hf  0.3977  0.2590  0.9409
Hf  0.8977  0.2410  0.4409

Properties
* ΔH_f (0 K): -3073.9 meV per atom
* VASP energy: -590.89 eV per cell